(1)
Compound: Al2SiO5
Source: Materials Project
Functional: PBE
Structure: optimized geometry

Geometry as extended XYZ:
```
32
Lattice="5.6356 0.0000 0.0000 1.3909 7.0683 0.0000 0.0139 2.2277 7.6157" Properties=species:S:1:pos:R:3 pbc="T T T"
Al 0.6926 2.9565 2.2541
Al 2.0480 7.2232 2.9420
Al 2.0448 0.9756 0.6292
Al 3.5253 6.5247 5.3215
Al 3.5151 2.7713 2.2942
Al 4.9956 8.3203 6.9865
Al 4.9924 2.0728 4.6737
Al 6.3478 6.3394 5.3616
Si 2.1451 5.1207 0.4943
Si 2.1663 3.5449 5.0911
Si 4.8740 5.7511 2.5246
Si 4.8953 4.1753 7.1214
O 0.5951 2.1715 0.4050
O 0.8054 3.2256 4.2297
O 2.0125 7.6071 4.7978
O 2.1865 6.6389 1.1646
O 2.1463 5.1555 5.5110
O 2.1384 4.0326 1.7520
O 1.9700 1.5702 2.3911
O 2.2591 2.6792 6.5004
O 3.4597 7.1545 7.1183
O 3.5817 6.1452 3.4634
O 3.4586 3.1508 4.1523
O 3.5806 2.1415 0.4975
O 4.7813 6.6167 1.1154
O 5.0703 7.7257 5.2246
O 4.9020 5.2633 5.8637
O 4.8941 4.1405 2.1047
O 4.8539 2.6571 6.4512
O 5.0279 1.6889 2.8180
O 6.2350 6.0704 3.3860
O 6.4453 7.1245 7.2107
```

Results
The formation energy is -3.355 eV per atom. The space-group type is P-1.

***

(2)
Compound: Na13Ca7S12O48F3
Source: Materials Project
Functional: PBE
Structure: optimized geometry

Geometry as extended XYZ:
```
83
Lattice="9.5325 0.0000 0.0000 0.0000 6.9696 0.0000 -0.0292 0.0000 16.5641" Properties=species:S:1:pos:R:3 pbc="T T T"
Na 0.0000 0.0000 0.0000
Na 0.1308 0.0000 11.9935
Na 2.3190 3.4848 7.9546
Na 3.4787 1.6894 11.4395
Na 3.4787 5.2801 11.4395
Na 3.5421 1.7099 0.4397
Na 3.5421 5.2596 0.4397
Na 4.7825 0.0000 3.8894
Na 5.5316 0.0000 14.1351
Na 8.2529 1.6738 3.1332
Na 8.2529 5.2958 3.1332
Na 8.3590 1.7628 8.7278
Na 8.3590 5.2068 8.7278
Ca 1.0682 3.4848 14.2464
Ca 1.2615 0.0000 5.8914
Ca 2.4293 3.4848 3.9145
Ca 4.6691 0.0000 8.0109
Ca 5.8650 3.4848 5.9482
Ca 7.0814 3.4848 16.2239
Ca 7.1428 3.4848 12.1582
S 0.3986 3.4848 0.8932
S 0.7452 3.4848 11.2181
S 1.5255 0.0000 8.8884
S 1.9297 0.0000 2.7798
S 2.2169 0.0000 14.4162
S 4.6815 3.4848 14.0084
S 5.1860 3.4848 9.1546
S 5.5410 3.4848 2.9111
S 6.3708 0.0000 0.6079
S 6.6505 0.0000 11.0212
S 7.1624 0.0000 6.1401
S 9.4371 3.4848 5.7260
O 0.3076 0.0000 9.7334
O 0.5547 0.0000 3.3671
O 0.5702 3.4848 2.3732
O 0.6945 2.2923 5.2711
O 0.6945 4.6772 5.2711
O 0.7484 2.2911 12.1234
O 0.7484 4.6785 12.1234
O 1.4040 1.1981 14.7894
O 1.4040 5.7715 14.7894
O 1.5128 1.1999 7.9969
O 1.5128 5.7696 7.9969
O 1.7244 3.4848 0.2064
O 1.8946 0.0000 1.2972
O 1.9602 3.4848 10.3729
O 2.5153 0.0000 12.9589
O 2.6704 1.2031 3.2642
O 2.6704 5.7665 3.2642
O 2.7652 0.0000 9.7247
O 3.3129 3.4848 13.4186
O 3.4829 0.0000 15.2066
O 4.2755 3.4848 2.1192
O 4.4255 2.2796 8.7176
O 4.4255 4.6899 8.7176
O 4.6114 3.4848 15.4989
O 5.0820 0.0000 1.3548
O 5.2632 0.0000 11.5517
O 5.2904 3.4848 10.6434
O 5.4357 2.2920 13.5211
O 5.4357 4.6775 13.5211
O 5.6015 2.2876 3.7993
O 5.6015 4.6819 3.7993
O 6.3792 1.1947 6.6094
O 6.3792 5.7748 6.6094
O 6.4023 1.2001 16.2766
O 6.4023 5.7694 16.2766
O 6.5369 3.4848 8.5179
O 6.6251 0.0000 9.5214
O 6.7260 3.4848 2.0048
O 7.3059 0.0000 4.6742
O 7.4023 1.1989 11.4966
O 7.4023 5.7706 11.4966
O 7.5239 0.0000 1.5476
O 8.1184 3.4848 5.0245
O 8.4928 0.0000 6.8100
O 9.0296 3.4848 10.3956
O 9.1322 2.2926 0.4811
O 9.1322 4.6770 0.4811
O 9.2558 3.4848 7.1889
F 3.5023 0.0000 6.0957
F 3.6304 3.4848 5.8087
F 8.2630 3.4848 14.2151
```

Results
The formation energy is -2.501 eV per atom. As for the magnetic moment: 0.0 μB per formula unit. The space-group type is Pm.

***

(3)
Compound: Ti2Sn
Source: Materials Project
Functional: PBE
Structure: optimized geometry

Geometry as extended XYZ:
```
6
Lattice="4.7532 0.0000 0.0000 -2.3766 4.1164 0.0000 0.0000 0.0000 5.6418" Properties=species:S:1:pos:R:3 pbc="T T T"
Ti 0.0000 0.0000 0.0000
Ti 0.0000 0.0000 2.8209
Ti 0.0000 2.7443 1.4104
Ti 2.3766 1.3721 4.2313
Sn 0.0000 2.7443 4.2313
Sn 2.3766 1.3721 1.4104
```

Results
The formation energy is -0.333 eV per atom. The space-group type is P6_3/mmc.

***

(4)
Compound: MgSO3
Source: Materials Project
Functional: PBE
Structure: optimized geometry

Geometry as extended XYZ:
```
40
Lattice="5.3451 0.0000 0.0000 0.0000 11.9919 0.0000 -1.3898 0.0000 7.9732" Properties=species:S:1:pos:R:3 pbc="T T T"
Mg 0.4304 2.9232 1.2263
Mg -0.2645 3.0728 5.2129
Mg 1.6069 6.9400 0.9415
Mg 0.9120 11.0479 4.9281
Mg 3.0432 0.9440 3.0451
Mg 2.3483 5.0519 7.0318
Mg 4.2197 8.9191 2.7604
Mg 3.5248 9.0687 6.7470
S -0.5602 6.2528 5.9228
S 0.1347 11.7351 1.9362
S 1.8245 8.0811 4.1104
S 2.5194 9.9067 0.1237
S 1.4359 2.0852 7.8495
S 2.1308 3.9108 3.8629
S 3.8206 0.2568 6.0370
S 4.5155 5.7391 2.0504
O -0.2200 7.1694 2.0765
O -0.9149 10.8185 6.0631
O -0.3910 0.9801 5.2397
O 0.3039 5.0159 1.2530
O 1.3660 8.8567 0.0114
O 0.6711 9.1312 3.9980
O 0.2145 2.9043 7.3244
O 0.9094 3.0917 3.3378
O 0.5959 6.2077 6.9514
O 1.2908 11.7802 2.9648
O 2.3071 1.8715 1.3262
O 1.6122 4.1244 5.3128
O 2.3431 7.8675 2.6604
O 1.6482 10.1204 6.6470
O 2.6644 0.2117 5.0084
O 3.3593 5.7842 1.0218
O 3.0459 8.9002 4.6355
O 3.7408 9.0876 0.6488
O 3.2841 2.8607 3.9752
O 2.5892 3.1352 7.9618
O 3.6514 6.9760 6.7202
O 4.3463 11.0118 2.7336
O 4.8702 1.1734 1.9101
O 4.1753 4.8225 5.8967
```

Results
The formation energy is -2.280 eV per atom. As for the magnetic moment: 0.0 μB per formula unit. The space-group type is P2_1/c.

***

(5)
Compound: Sr4SnPbO8
Source: Materials Project
Functional: PBE
Structure: optimized geometry

Geometry as extended XYZ:
```
14
Lattice="4.2090 0.0000 0.0000 0.0000 4.2090 0.0000 0.0000 0.0000 12.7302" Properties=species:S:1:pos:R:3 pbc="T T T"
Sr 0.0000 0.0000 1.8051
Sr 0.0000 0.0000 10.9251
Sr 2.1045 2.1045 4.4654
Sr 2.1045 2.1045 8.2648
Sn 2.1045 2.1045 0.0000
Pb 0.0000 0.0000 6.3651
O 0.0000 0.0000 4.1814
O 0.0000 0.0000 8.5488
O 0.0000 2.1045 0.0000
O 0.0000 2.1045 6.3651
O 2.1045 0.0000 0.0000
O 2.1045 0.0000 6.3651
O 2.1045 2.1045 2.0645
O 2.1045 2.1045 10.6656
```

Results
The formation energy is -2.560 eV per atom. As for the magnetic moment: 0.0 μB per formula unit. The space-group type is P4/mmm.

***

(6)
Compound: Ce4Mg
Source: Materials Project
Functional: PBE
Structure: optimized geometry

Geometry as extended XYZ:
```
10
Lattice="0.0000 5.4889 5.4889 5.4889 0.0000 5.4889 5.4889 5.4889 0.0000" Properties=species:S:1:pos:R:3 pbc="T T T"
Ce 8.6041 5.1181 5.1181
Ce 2.3737 2.3737 2.3737
Ce 5.8596 5.8596 2.3737
Ce 5.8596 2.3737 5.8596
Ce 5.1181 8.6041 5.1181
Ce 5.1181 5.1181 8.6041
Ce 8.6041 8.6041 8.6041
Ce 2.3737 5.8596 5.8596
Mg 4.1166 4.1166 4.1166
Mg 6.8611 6.8611 6.8611
```

Results
The formation energy is 0.680 eV per atom. As for the magnetic moment: 3.6 μB per formula unit. The space-group type is Fd-3m.

***

(7)
Compound: MgNi4Sb4S4
Source: Materials Project
Functional: PBE
Structure: optimized geometry

Geometry as extended XYZ:
```
13
Lattice="4.3455 2.5089 3.5829 -4.3455 2.5089 3.5829 0.0000 -5.0178 3.5829" Properties=species:S:1:pos:R:3 pbc="T T T"
Mg 0.0000 0.0000 0.0000
Ni -2.3979 -1.0032 5.7993
Ni 0.0000 0.0000 2.5632
Ni 2.0677 -1.5750 5.7992
Ni 0.3301 2.5782 5.7992
Sb -1.2998 -2.9593 4.7008
Sb -1.9130 2.6053 4.7008
Sb 0.0000 0.0000 5.9631
Sb 3.2128 0.3540 4.7008
S -2.1591 0.1851 3.6193
S 0.9193 -1.9624 3.6193
S 1.2398 1.7773 3.6193
S 0.0000 0.0000 8.4884
```

Results
The formation energy is -0.300 eV per atom. As for the magnetic moment: 0.0 μB per formula unit. The space-group type is R3.